A plane-wave DFT calculation with GGA-PBE was carried out for Cs2KTiF6 after structural relaxation.

a = 9.252 Å, b = 9.252 Å, c = 9.252 Å
α = 90.00°, β = 90.00°, γ = 90.00°
Space group Fm-3m (No. 225)
Symmetry-distinct sites (fractional):
Cs: 0.250 0.250 0.250 [8 per cell]
K: 0.000 0.000 0.000 [4 per cell]
Ti: 0.000 0.000 0.500 [4 per cell]
F: 0.000 0.000 0.284 [24 per cell]

Calculated values
raw total energy = -5.2642 eV/atom
E_form = -3313 meV per atom